No. 1
Density functional theory data (PBE with a Hubbard U) for an optimized crystal structure of MgMn4Zn2O8.

Unit cell a=6.0511 b=6.0652 c=6.2648 alpha=96.54 beta=112.60 gamma=118.71
Space group P1 (No. 1)
Inequivalent atoms, fractional coordinates:
Mg 0.0000 0.0000 0.0000 x1
Mn 0.0136 0.5100 0.0115 x1
Mn 0.2980 0.1693 0.4771 x1
Mn 0.5155 0.5046 0.0182 x1
Mn 0.5178 0.0124 0.0175 x1
Zn 0.0588 0.5288 0.5311 x1
Zn 0.7514 0.8649 0.5410 x1
O 0.0141 0.2760 0.2655 x1
O 0.0725 0.2635 0.7879 x1
O 0.4507 0.2142 0.2200 x1
O 0.4786 0.7571 0.1988 x1
O 0.5448 0.7889 0.7802 x1
O 0.5536 0.2595 0.8357 x1
O 0.9494 0.7576 0.2209 x1
O 0.9935 0.7356 0.7375 x1

***

No. 2
Density functional theory data (PBE with a Hubbard U) for an optimized crystal structure of MgMn2Zn2O6.

Unit cell a=5.2004 b=5.2004 c=15.1864 alpha=90.00 beta=90.00 gamma=120.00
Space group R-3 (No. 148, hexagonal axes)
Inequivalent atoms, fractional coordinates:
Mg 0.0000 0.0000 0.0000 x3
Mn 0.0000 0.0000 0.3521 x6
Zn 0.0000 0.0000 0.1713 x6
O 0.0094 0.3583 0.4092 x18

***

No. 3
Density functional theory data (PBE with a Hubbard U) for an optimized crystal structure of MgMn4Zn2O8.

Unit cell a=2.9801 b=5.2792 c=12.0102 alpha=90.00 beta=90.01 gamma=95.46
Space group P1 (No. 1)
Inequivalent atoms, fractional coordinates:
Mg 0.0000 0.0000 0.0000 x1
Mn 0.2686 0.6587 0.3553 x1
Mn 0.2723 0.6587 0.6450 x1
Mn 0.4553 0.1517 0.2320 x1
Mn 0.4606 0.1523 0.7682 x1
Zn 0.7958 0.1384 0.4999 x1
Zn 0.9115 0.5045 0.0000 x1
O 0.2622 0.8898 0.5001 x1
O 0.4606 0.7593 0.0000 x1
O 0.7193 0.4003 0.3714 x1
O 0.7234 0.4004 0.6287 x1
O 0.8358 0.8703 0.2885 x1
O 0.8379 0.8696 0.7119 x1
O 0.9752 0.2506 0.1214 x1
O 0.9807 0.2512 0.8787 x1

***

No. 4
Density functional theory data (PBE with a Hubbard U) for an optimized crystal structure of MgMn2Zn2O6.

Unit cell a=5.2741 b=5.2741 c=15.2545 alpha=90.00 beta=90.00 gamma=120.00
Space group R-3 (No. 148, hexagonal axes)
Inequivalent atoms, fractional coordinates:
Mg 0.0000 0.0000 0.0000 x3
Mn 0.0000 0.0000 0.1795 x6
Zn 0.0000 0.0000 0.3988 x6
O 0.0182 0.3720 0.5786 x18

***

The relative energy among the computed polymorphs results, record by record, are as follows: 0.026, 0.083, 0.043, 0.028 eV/atom.
The electronic total energy results, record by record, are as follows: -6.49, -5.99, -6.47, -6.05 eV per atom.
The V results, record by record, are as follows: 173.0, 355.7, 188.1, 367.5 Å³/cell.